(1)
16
Lattice="4.284 0.000 0.000 0.000 4.284 0.000 0.000 0.000 8.756" Properties=species:S:1:pos:R:3 comment="Mg6NbCoO8 GGA+U optimized geometry" formation_enthalpy_0k_mev_per_atom=-2586 spacegroup="P4/mmm (123)" total_energy_ev_per_cell=-100.6 pbc="T T T"
Mg 0.000 0.000 0.000
Mg 0.000 2.142 2.143
Mg 0.000 2.142 6.613
Mg 2.142 0.000 2.143
Mg 2.142 0.000 6.613
Mg 2.142 2.142 0.000
Nb 0.000 0.000 4.378
Co 2.142 2.142 4.378
O 0.000 0.000 2.123
O 0.000 0.000 6.633
O 0.000 2.142 0.000
O 0.000 2.142 4.378
O 2.142 0.000 0.000
O 2.142 0.000 4.378
O 2.142 2.142 2.089
O 2.142 2.142 6.667


(2)
16
Lattice="4.240 0.000 0.000 0.000 4.240 0.000 0.000 0.000 8.542" Properties=species:S:1:pos:R:3 comment="Mg6CoNiO8 GGA+U optimized geometry" formation_enthalpy_0k_mev_per_atom=-2528 spacegroup="P4/mmm (123)" total_energy_ev_per_cell=-92.9 pbc="T T T"
Mg 0.000 0.000 0.000
Mg 0.000 0.000 4.271
Mg 0.000 2.120 2.128
Mg 0.000 2.120 6.414
Mg 2.120 0.000 2.128
Mg 2.120 0.000 6.414
Co 2.120 2.120 4.271
Ni 2.120 2.120 0.000
O 0.000 0.000 2.139
O 0.000 0.000 6.403
O 0.000 2.120 0.000
O 0.000 2.120 4.271
O 2.120 0.000 0.000
O 2.120 0.000 4.271
O 2.120 2.120 2.114
O 2.120 2.120 6.428